(1)
Entry from the Materials Project: a geometry-optimized CrAgP2S6 structure (meta-GGA r2SCAN).

Structure (POSCAR):
```
CrAgP2S6
1.0
-7.738 6.450 -3.377
-2.131 0.344 5.541
3.304 5.498 2.929
S P Cr Ag
12 4 2 2
Direct
0.394 0.521 0.273
0.924 0.487 0.786
0.232 0.485 0.772
0.076 0.987 0.786
0.394 0.979 0.727
0.924 0.013 0.214
0.768 0.985 0.772
0.606 0.479 0.727
0.232 0.015 0.228
0.076 0.513 0.214
0.606 0.021 0.273
0.768 0.515 0.228
0.755 0.205 0.162
0.245 0.795 0.838
0.755 0.295 0.838
0.245 0.705 0.162
0.917 0.750 0.000
0.083 0.250 0.000
0.561 0.750 0.000
0.439 0.250 0.000
```

Size of the total moment ... 0.30 μB per atom
Formation enthalpy at 0 K ... -0.487 eV/atom
DFT total energy ... -215.0 eV/cell

---

(2)
Entry from the Materials Project: a geometry-optimized Cr2AgS4 structure (meta-GGA r2SCAN).

Structure (POSCAR):
```
Cr2AgS4
1.0
5.066 0.539 5.044
-1.107 -2.797 6.508
3.635 -5.823 2.064
S Cr Ag
8 4 2
Direct
0.889 0.889 0.888
0.889 0.889 0.333
0.333 0.888 0.889
0.361 0.361 0.362
0.361 0.361 0.917
0.888 0.333 0.889
0.362 0.917 0.361
0.917 0.362 0.361
0.125 0.625 0.125
0.125 0.125 0.125
0.125 0.125 0.625
0.625 0.125 0.125
0.750 0.750 0.750
0.500 0.500 0.500
```

Size of the total moment ... 0.74 μB per atom
Formation enthalpy at 0 K ... -0.774 eV/atom
DFT total energy ... -178.1 eV/cell

---

(3)
Entry from the Materials Project: a geometry-optimized CsEr2Ag3Te5 structure (meta-GGA r2SCAN).

Structure (POSCAR):
```
CsEr2Ag3Te5
1.0
2.264 -8.205 0.000
2.264 8.205 0.000
0.000 0.000 18.573
Er Te Ag Cs
4 10 6 2
Direct
0.306 0.694 0.095
0.306 0.694 0.405
0.694 0.306 0.595
0.694 0.306 0.905
0.755 0.245 0.750
0.068 0.932 0.882
0.322 0.678 0.569
0.245 0.755 0.250
0.068 0.932 0.618
0.678 0.322 0.431
0.932 0.068 0.382
0.678 0.322 0.069
0.932 0.068 0.118
0.322 0.678 0.931
0.158 0.842 0.750
0.921 0.079 0.537
0.079 0.921 0.037
0.079 0.921 0.463
0.842 0.158 0.250
0.921 0.079 0.963
0.557 0.443 0.250
0.443 0.557 0.750
```

Size of the total moment ... 0.00 μB per atom
Formation enthalpy at 0 K ... -1.028 eV/atom
DFT total energy ... -590.8 eV/cell

---

(4)
Entry from the Materials Project: a geometry-optimized CsAgF3 structure (meta-GGA r2SCAN).

Structure (POSCAR):
```
CsAgF3
1.0
-3.207 -5.368 0.056
4.327 1.021 4.398
-2.935 5.328 1.450
F Ag Cs
6 2 2
Direct
0.500 0.750 0.250
0.969 0.735 0.235
0.500 0.235 0.265
0.500 0.765 0.735
0.500 0.250 0.750
0.031 0.265 0.765
0.500 0.000 0.500
0.500 0.500 0.000
0.000 0.750 0.750
0.000 0.250 0.250
```

Size of the total moment ... 0.00 μB per atom
Formation enthalpy at 0 K ... -2.063 eV/atom
DFT total energy ... -132.3 eV/cell

---

Question: Look up the formation enthalpy at 0 K of the fourth one.
Answer: -2.063 eV/atom

---

Question: formation enthalpy at 0 K of number 2 (Cr2AgS4)?
Answer: -0.774 eV/atom

---

Question: The highest formation enthalpy at 0 K belongs to which entry?
Answer: CrAgP2S6